Density functional theory data (PBE) for a relaxed structure of LiCoS2.

Computed properties:
As for the energy above the most stable polymorph in this dataset: 0 meV per atom. The raw total energy is -20.319 eV per cell.

Cell lengths 3.4248, 3.4248, 5.6733 Å; angles 90.00, 90.00, 120.00 degrees
Closest atoms and distances in Å follow each position.
Space group P-3m1 (No. 164)
Asymmetric unit:
Li1 0.0000 0.0000 0.0000 x1  6 S 2.60, 2 Co 2.84
Co1 0.0000 0.0000 0.5000 x1  6 S 2.28
S1 0.3333 0.6667 0.7015 x2  3 Co 2.28